No. 1
Compound: Li2CrP3O10
Source: the Materials Project database
Functional: PBE with a Hubbard U
Structure: relaxed Values from VASP.

- E_form (eV per atom) = -2.6244
- E (MP2020) (eV per formula unit) = -121.2
- E_tot (eV/atom) = -7.0195
- ΔE to the lowest computed polymorph (meV per atom) = 0
- size of the total moment (μB per formula unit) = 3.000

Geometry as Quantum ESPRESSO input:
```
&SYSTEM
  ibrav = 0, nat = 64, ntyp = 4
/
ATOMIC_SPECIES
Li 6.94 Li.upf
Cr 52.00 Cr.upf
P 30.97 P.upf
O 16.00 O.upf
CELL_PARAMETERS angstrom
8.027 0.000 0.000
0.000 9.710 0.000
0.000 1.229 11.973
ATOMIC_POSITIONS crystal
Li 0.542 0.615 0.148
Li 0.958 0.115 0.148
Li 0.889 0.093 0.449
Li 0.611 0.593 0.449
Li 0.389 0.407 0.551
Li 0.111 0.907 0.551
Li 0.042 0.885 0.852
Li 0.458 0.385 0.852
Cr 0.143 0.371 0.169
Cr 0.357 0.871 0.169
Cr 0.643 0.129 0.831
Cr 0.857 0.629 0.831
P 0.433 0.192 0.064
P 0.067 0.692 0.064
P 0.576 0.085 0.275
P 0.924 0.585 0.275
P 0.216 0.075 0.333
P 0.284 0.575 0.333
P 0.716 0.425 0.667
P 0.784 0.925 0.667
P 0.076 0.415 0.725
P 0.424 0.915 0.725
P 0.933 0.308 0.936
P 0.567 0.808 0.936
O 0.335 0.057 0.082
O 0.007 0.283 0.054
O 0.341 0.325 0.083
O 0.165 0.557 0.082
O 0.493 0.783 0.054
O 0.159 0.825 0.083
O 0.585 0.182 0.155
O 0.915 0.682 0.155
O 0.121 0.177 0.249
O 0.942 0.436 0.249
O 0.280 0.430 0.293
O 0.379 0.677 0.249
O 0.558 0.936 0.249
O 0.220 0.930 0.293
O 0.409 0.132 0.336
O 0.726 0.123 0.337
O 0.091 0.632 0.336
O 0.774 0.623 0.337
O 0.140 0.072 0.448
O 0.360 0.572 0.448
O 0.640 0.428 0.552
O 0.860 0.928 0.552
O 0.226 0.377 0.663
O 0.909 0.368 0.664
O 0.274 0.877 0.663
O 0.591 0.868 0.664
O 0.780 0.070 0.707
O 0.442 0.064 0.751
O 0.621 0.323 0.751
O 0.720 0.570 0.707
O 0.058 0.564 0.751
O 0.879 0.823 0.751
O 0.085 0.318 0.845
O 0.415 0.818 0.845
O 0.841 0.175 0.917
O 0.507 0.217 0.946
O 0.835 0.443 0.918
O 0.659 0.675 0.917
O 0.993 0.717 0.946
O 0.665 0.943 0.918
```


No. 2
Compound: LiCr4P3O12
Source: the Materials Project database
Functional: PBE with a Hubbard U
Structure: relaxed Values from VASP.

- E_form (eV per atom) = -2.4869
- E (MP2020) (eV per formula unit) = -165.9
- E_tot (eV/atom) = -7.4817
- ΔE to the lowest computed polymorph (meV per atom) = 12
- size of the total moment (μB per formula unit) = 16.000

Geometry as Quantum ESPRESSO input:
```
&SYSTEM
  ibrav = 0, nat = 80, ntyp = 4
/
ATOMIC_SPECIES
Li 6.94 Li.upf
Cr 52.00 Cr.upf
P 30.97 P.upf
O 16.00 O.upf
CELL_PARAMETERS angstrom
-6.316 0.000 0.000
0.000 0.000 -10.544
0.000 -14.510 0.000
ATOMIC_POSITIONS crystal
Li 0.145 0.531 0.916
Li 0.645 0.969 0.584
Li 0.855 0.469 0.416
Li 0.355 0.031 0.084
Cr 0.434 0.648 0.370
Cr 0.934 0.852 0.130
Cr 0.566 0.352 0.870
Cr 0.066 0.148 0.630
Cr 0.577 0.342 0.628
Cr 0.077 0.158 0.872
Cr 0.423 0.658 0.128
Cr 0.923 0.842 0.372
Cr 0.432 0.754 0.750
Cr 0.932 0.746 0.750
Cr 0.568 0.246 0.250
Cr 0.068 0.254 0.250
Cr 0.859 0.460 0.083
Cr 0.359 0.040 0.417
Cr 0.141 0.540 0.583
Cr 0.641 0.960 0.917
P 0.137 0.874 0.925
P 0.637 0.626 0.575
P 0.863 0.126 0.425
P 0.363 0.374 0.075
P 0.863 0.127 0.074
P 0.363 0.373 0.426
P 0.137 0.873 0.574
P 0.637 0.627 0.926
P 0.496 0.096 0.752
P 0.996 0.404 0.748
P 0.504 0.904 0.252
P 0.004 0.596 0.248
O 0.060 0.545 0.735
O 0.560 0.955 0.765
O 0.940 0.455 0.235
O 0.440 0.045 0.265
O 0.329 0.958 0.947
O 0.829 0.542 0.553
O 0.671 0.042 0.447
O 0.171 0.458 0.053
O 0.667 0.044 0.051
O 0.167 0.456 0.449
O 0.333 0.956 0.551
O 0.833 0.544 0.949
O 0.460 0.537 0.889
O 0.960 0.963 0.611
O 0.540 0.463 0.389
O 0.040 0.037 0.111
O 0.538 0.469 0.110
O 0.038 0.031 0.390
O 0.462 0.531 0.610
O 0.962 0.969 0.890
O 0.061 0.792 0.492
O 0.561 0.708 0.008
O 0.939 0.208 0.992
O 0.439 0.292 0.508
O 0.940 0.204 0.508
O 0.440 0.296 0.992
O 0.060 0.796 0.008
O 0.560 0.704 0.492
O 0.181 0.778 0.844
O 0.681 0.722 0.656
O 0.819 0.222 0.344
O 0.319 0.278 0.156
O 0.813 0.225 0.154
O 0.313 0.275 0.346
O 0.187 0.775 0.654
O 0.687 0.725 0.846
O 0.415 0.835 0.338
O 0.915 0.665 0.162
O 0.585 0.165 0.838
O 0.085 0.335 0.662
O 0.589 0.149 0.661
O 0.089 0.351 0.839
O 0.411 0.851 0.161
O 0.911 0.649 0.339
O 0.246 0.110 0.751
O 0.746 0.390 0.749
O 0.754 0.890 0.251
O 0.254 0.610 0.249
```


No. 3
Compound: LiCrP2O7
Source: the Materials Project database
Functional: PBE with a Hubbard U
Structure: relaxed Values from VASP.

- E_form (eV per atom) = -2.6445
- E (MP2020) (eV per formula unit) = -86.1
- E_tot (eV/atom) = -7.2096
- ΔE to the lowest computed polymorph (meV per atom) = 30
- size of the total moment (μB per formula unit) = 3.000

Geometry as Quantum ESPRESSO input:
```
&SYSTEM
  ibrav = 0, nat = 44, ntyp = 4
/
ATOMIC_SPECIES
Li 6.94 Li.upf
Cr 52.00 Cr.upf
P 30.97 P.upf
O 16.00 O.upf
CELL_PARAMETERS angstrom
7.950 0.000 0.000
0.000 7.181 0.000
0.000 3.388 8.899
ATOMIC_POSITIONS crystal
Li 0.020 0.302 0.221
Li 0.520 0.698 0.279
Li 0.480 0.302 0.721
Li 0.980 0.698 0.779
Cr 0.995 0.740 0.247
Cr 0.505 0.740 0.747
Cr 0.495 0.260 0.253
Cr 0.005 0.260 0.753
P 0.290 0.669 0.048
P 0.210 0.669 0.548
P 0.790 0.331 0.452
P 0.741 0.916 0.455
P 0.710 0.331 0.952
P 0.241 0.084 0.045
P 0.759 0.916 0.955
P 0.259 0.084 0.545
O 0.608 0.379 0.396
O 0.799 0.316 0.616
O 0.341 0.880 0.064
O 0.922 0.459 0.343
O 0.659 0.120 0.936
O 0.866 0.800 0.400
O 0.713 0.806 0.623
O 0.080 0.027 0.142
O 0.201 0.684 0.384
O 0.078 0.541 0.657
O 0.787 0.806 0.123
O 0.892 0.379 0.896
O 0.634 0.800 0.900
O 0.578 0.459 0.843
O 0.134 0.200 0.600
O 0.366 0.200 0.100
O 0.420 0.027 0.642
O 0.422 0.541 0.157
O 0.299 0.684 0.884
O 0.159 0.880 0.564
O 0.287 0.194 0.377
O 0.213 0.194 0.877
O 0.580 0.973 0.358
O 0.701 0.316 0.116
O 0.920 0.973 0.858
O 0.392 0.621 0.604
O 0.108 0.621 0.104
O 0.841 0.120 0.436
```


No. 4
Compound: Li2CrP5O15
Source: the Materials Project database
Functional: PBE with a Hubbard U
Structure: relaxed Values from VASP.

- E_form (eV per atom) = -2.6231
- E (MP2020) (eV per formula unit) = -175.1
- E_tot (eV/atom) = -7.0776
- ΔE to the lowest computed polymorph (meV per atom) = 0
- size of the total moment (μB per formula unit) = 2.999

Geometry as Quantum ESPRESSO input:
```
&SYSTEM
  ibrav = 0, nat = 46, ntyp = 4
/
ATOMIC_SPECIES
Li 6.94 Li.upf
Cr 52.00 Cr.upf
P 30.97 P.upf
O 16.00 O.upf
CELL_PARAMETERS angstrom
13.415 0.000 0.000
0.000 5.160 0.000
0.000 1.775 8.751
ATOMIC_POSITIONS crystal
Li 0.618 0.943 0.090
Li 0.118 0.057 0.910
Li 0.382 0.057 0.910
Li 0.882 0.943 0.090
Cr 0.000 0.500 0.500
Cr 0.500 0.500 0.500
P 0.641 0.998 0.519
P 0.424 0.342 0.186
P 0.076 0.342 0.186
P 0.924 0.658 0.814
P 0.576 0.658 0.814
P 0.359 0.002 0.481
P 0.750 0.456 0.010
P 0.250 0.544 0.990
P 0.859 0.998 0.519
P 0.141 0.002 0.481
O 0.531 0.806 0.925
O 0.657 0.445 0.893
O 0.355 0.137 0.304
O 0.427 0.153 0.568
O 0.491 0.486 0.278
O 0.343 0.555 0.107
O 0.250 0.806 0.882
O 0.874 0.291 0.503
O 0.031 0.194 0.075
O 0.009 0.486 0.278
O 0.750 0.194 0.118
O 0.843 0.445 0.893
O 0.573 0.847 0.432
O 0.157 0.555 0.107
O 0.250 0.053 0.538
O 0.991 0.514 0.722
O 0.750 0.714 0.062
O 0.927 0.847 0.432
O 0.073 0.153 0.568
O 0.250 0.286 0.938
O 0.645 0.863 0.696
O 0.469 0.194 0.075
O 0.374 0.709 0.497
O 0.145 0.137 0.304
O 0.750 0.947 0.462
O 0.126 0.709 0.497
O 0.509 0.514 0.722
O 0.855 0.863 0.696
O 0.969 0.806 0.925
O 0.626 0.291 0.503
```


No. 5
Compound: Li4CrP2O8
Source: the Materials Project database
Functional: PBE with a Hubbard U
Structure: relaxed Values from VASP.

- E_form (eV per atom) = -2.6249
- E (MP2020) (eV per formula unit) = -107.1
- E_tot (eV/atom) = -6.6385
- ΔE to the lowest computed polymorph (meV per atom) = 0
- size of the total moment (μB per formula unit) = 4.000

Geometry as Quantum ESPRESSO input:
```
&SYSTEM
  ibrav = 0, nat = 60, ntyp = 4
/
ATOMIC_SPECIES
Li 6.94 Li.upf
Cr 52.00 Cr.upf
P 30.97 P.upf
O 16.00 O.upf
CELL_PARAMETERS angstrom
-8.695 -4.743 -3.181
3.846 -7.311 0.389
-1.352 -2.771 7.828
ATOMIC_POSITIONS crystal
Li 0.073 0.728 0.523
Li 0.664 0.098 0.401
Li 0.649 0.851 0.150
Li 0.164 0.402 0.599
Li 0.664 0.343 0.651
Li 0.351 0.149 0.850
Li 0.573 0.772 0.477
Li 0.164 0.157 0.349
Li 0.851 0.351 0.150
Li 0.336 0.902 0.599
Li 0.836 0.843 0.651
Li 0.427 0.228 0.523
Li 0.927 0.272 0.477
Li 0.149 0.649 0.850
Li 0.336 0.657 0.349
Li 0.836 0.598 0.401
Cr 0.844 0.088 0.903
Cr 0.656 0.588 0.903
Cr 0.156 0.912 0.097
Cr 0.344 0.412 0.097
P 0.912 0.466 0.767
P 0.407 0.529 0.702
P 0.088 0.534 0.233
P 0.593 0.471 0.298
P 0.412 0.034 0.233
P 0.907 0.971 0.298
P 0.093 0.029 0.702
P 0.588 0.966 0.767
O 0.151 0.592 0.377
O 0.849 0.408 0.623
O 0.948 0.477 0.279
O 0.552 0.977 0.279
O 0.833 0.939 0.148
O 0.667 0.439 0.148
O 0.651 0.627 0.343
O 0.405 0.176 0.069
O 0.053 0.007 0.256
O 0.849 0.127 0.343
O 0.947 0.993 0.744
O 0.905 0.324 0.931
O 0.333 0.561 0.852
O 0.595 0.824 0.931
O 0.448 0.023 0.721
O 0.151 0.873 0.657
O 0.833 0.617 0.797
O 0.102 0.189 0.557
O 0.602 0.311 0.443
O 0.052 0.523 0.721
O 0.333 0.883 0.203
O 0.553 0.493 0.744
O 0.398 0.689 0.557
O 0.167 0.061 0.852
O 0.651 0.908 0.623
O 0.349 0.373 0.657
O 0.167 0.383 0.203
O 0.095 0.676 0.069
O 0.898 0.811 0.443
O 0.667 0.117 0.797
O 0.447 0.507 0.256
O 0.349 0.092 0.377
```


No. 6
Compound: LiCrP4O12
Source: the Materials Project database
Functional: PBE with a Hubbard U
Structure: relaxed Values from VASP.

- E_form (eV per atom) = -2.5760
- E (MP2020) (eV per formula unit) = -139.0
- E_tot (eV/atom) = -7.1509
- ΔE to the lowest computed polymorph (meV per atom) = 66
- size of the total moment (μB per formula unit) = 3.000

Geometry as Quantum ESPRESSO input:
```
&SYSTEM
  ibrav = 0, nat = 72, ntyp = 4
/
ATOMIC_SPECIES
Li 6.94 Li.upf
Cr 52.00 Cr.upf
P 30.97 P.upf
O 16.00 O.upf
CELL_PARAMETERS angstrom
9.039 0.000 0.000
0.000 7.593 0.000
0.000 5.500 13.757
ATOMIC_POSITIONS crystal
Li 0.579 0.904 0.075
Li 0.079 0.096 0.425
Li 0.921 0.904 0.575
Li 0.421 0.096 0.925
Cr 0.635 0.345 0.649
Cr 0.865 0.345 0.149
Cr 0.135 0.655 0.851
Cr 0.365 0.655 0.351
P 0.293 0.355 0.571
P 0.052 0.652 0.226
P 0.240 0.751 0.044
P 0.066 0.071 0.694
P 0.740 0.249 0.456
P 0.552 0.348 0.274
P 0.566 0.929 0.806
P 0.207 0.355 0.071
P 0.793 0.645 0.929
P 0.434 0.071 0.194
P 0.448 0.652 0.726
P 0.260 0.751 0.544
P 0.934 0.929 0.306
P 0.760 0.249 0.956
P 0.948 0.348 0.774
P 0.707 0.645 0.429
O 0.372 0.870 0.044
O 0.119 0.773 0.120
O 0.059 0.190 0.764
O 0.325 0.409 0.464
O 0.165 0.595 0.306
O 0.785 0.471 0.408
O 0.421 0.279 0.639
O 0.457 0.508 0.277
O 0.159 0.210 0.600
O 0.663 0.098 0.755
O 0.957 0.492 0.223
O 0.920 0.041 0.657
O 0.663 0.214 0.551
O 0.285 0.529 0.092
O 0.665 0.405 0.194
O 0.825 0.591 0.036
O 0.163 0.786 0.949
O 0.420 0.959 0.843
O 0.619 0.227 0.380
O 0.163 0.902 0.745
O 0.872 0.130 0.456
O 0.659 0.790 0.900
O 0.441 0.190 0.264
O 0.921 0.721 0.861
O 0.079 0.279 0.139
O 0.559 0.810 0.736
O 0.341 0.210 0.100
O 0.128 0.870 0.544
O 0.837 0.098 0.255
O 0.381 0.773 0.620
O 0.580 0.041 0.157
O 0.837 0.214 0.051
O 0.175 0.409 0.964
O 0.335 0.595 0.806
O 0.715 0.471 0.908
O 0.337 0.786 0.449
O 0.080 0.959 0.343
O 0.043 0.508 0.777
O 0.337 0.902 0.245
O 0.841 0.790 0.400
O 0.543 0.492 0.723
O 0.579 0.721 0.361
O 0.215 0.529 0.592
O 0.835 0.405 0.694
O 0.675 0.591 0.536
O 0.941 0.810 0.236
O 0.881 0.227 0.880
O 0.628 0.130 0.956
```


No. 7
Compound: LiCrPO5
Source: the Materials Project database
Functional: PBE with a Hubbard U
Structure: relaxed Values from VASP.

- E_form (eV per atom) = -2.4243
- E (MP2020) (eV per formula unit) = -61.1
- E_tot (eV/atom) = -6.9594
- ΔE to the lowest computed polymorph (meV per atom) = 27
- size of the total moment (μB per formula unit) = 2.000

Geometry as Quantum ESPRESSO input:
```
&SYSTEM
  ibrav = 0, nat = 32, ntyp = 4
/
ATOMIC_SPECIES
Li 6.94 Li.upf
Cr 52.00 Cr.upf
P 30.97 P.upf
O 16.00 O.upf
CELL_PARAMETERS angstrom
-3.326 -4.625 -2.007
4.507 -0.597 -6.093
4.564 -4.958 3.863
ATOMIC_POSITIONS crystal
Li 0.750 0.640 0.164
Li 0.250 0.860 0.664
Li 0.750 0.140 0.336
Li 0.250 0.360 0.836
Cr 0.500 0.500 0.500
Cr 0.000 0.500 0.500
Cr 0.500 0.000 0.000
Cr 0.000 0.000 0.000
P 0.250 0.640 0.166
P 0.750 0.860 0.666
P 0.250 0.140 0.334
P 0.750 0.360 0.834
O 0.750 0.499 0.969
O 0.250 0.613 0.589
O 0.039 0.633 0.283
O 0.461 0.633 0.283
O 0.750 0.669 0.580
O 0.250 0.831 0.080
O 0.539 0.867 0.783
O 0.961 0.867 0.783
O 0.750 0.887 0.089
O 0.250 0.001 0.469
O 0.750 0.999 0.531
O 0.250 0.113 0.911
O 0.039 0.133 0.217
O 0.461 0.133 0.217
O 0.750 0.169 0.920
O 0.250 0.331 0.420
O 0.539 0.367 0.717
O 0.961 0.367 0.717
O 0.750 0.387 0.411
O 0.250 0.501 0.031
```


Copy entry 1 word for word.
Compound: Li2CrP3O10
Source: the Materials Project database
Functional: PBE with a Hubbard U
Structure: relaxed Values from VASP.

- E_form (eV per atom) = -2.6244
- E (MP2020) (eV per formula unit) = -121.2
- E_tot (eV/atom) = -7.0195
- ΔE to the lowest computed polymorph (meV per atom) = 0
- size of the total moment (μB per formula unit) = 3.000

Geometry as Quantum ESPRESSO input:
```
&SYSTEM
  ibrav = 0, nat = 64, ntyp = 4
/
ATOMIC_SPECIES
Li 6.94 Li.upf
Cr 52.00 Cr.upf
P 30.97 P.upf
O 16.00 O.upf
CELL_PARAMETERS angstrom
8.027 0.000 0.000
0.000 9.710 0.000
0.000 1.229 11.973
ATOMIC_POSITIONS crystal
Li 0.542 0.615 0.148
Li 0.958 0.115 0.148
Li 0.889 0.093 0.449
Li 0.611 0.593 0.449
Li 0.389 0.407 0.551
Li 0.111 0.907 0.551
Li 0.042 0.885 0.852
Li 0.458 0.385 0.852
Cr 0.143 0.371 0.169
Cr 0.357 0.871 0.169
Cr 0.643 0.129 0.831
Cr 0.857 0.629 0.831
P 0.433 0.192 0.064
P 0.067 0.692 0.064
P 0.576 0.085 0.275
P 0.924 0.585 0.275
P 0.216 0.075 0.333
P 0.284 0.575 0.333
P 0.716 0.425 0.667
P 0.784 0.925 0.667
P 0.076 0.415 0.725
P 0.424 0.915 0.725
P 0.933 0.308 0.936
P 0.567 0.808 0.936
O 0.335 0.057 0.082
O 0.007 0.283 0.054
O 0.341 0.325 0.083
O 0.165 0.557 0.082
O 0.493 0.783 0.054
O 0.159 0.825 0.083
O 0.585 0.182 0.155
O 0.915 0.682 0.155
O 0.121 0.177 0.249
O 0.942 0.436 0.249
O 0.280 0.430 0.293
O 0.379 0.677 0.249
O 0.558 0.936 0.249
O 0.220 0.930 0.293
O 0.409 0.132 0.336
O 0.726 0.123 0.337
O 0.091 0.632 0.336
O 0.774 0.623 0.337
O 0.140 0.072 0.448
O 0.360 0.572 0.448
O 0.640 0.428 0.552
O 0.860 0.928 0.552
O 0.226 0.377 0.663
O 0.909 0.368 0.664
O 0.274 0.877 0.663
O 0.591 0.868 0.664
O 0.780 0.070 0.707
O 0.442 0.064 0.751
O 0.621 0.323 0.751
O 0.720 0.570 0.707
O 0.058 0.564 0.751
O 0.879 0.823 0.751
O 0.085 0.318 0.845
O 0.415 0.818 0.845
O 0.841 0.175 0.917
O 0.507 0.217 0.946
O 0.835 0.443 0.918
O 0.659 0.675 0.917
O 0.993 0.717 0.946
O 0.665 0.943 0.918
```


Question: Look up the E_form of the first one.
Answer: -2.6244 eV per atom


Question: Look up the E_form of the seventh one.
Answer: -2.4243 eV per atom


Question: Among the records above, which one has the highest E (MP2020)?
Answer: LiCrPO5